1.
Density functional theory data (GGA+U) for a relaxed Li6V3P8O29 crystal.

The structure in POSCAR format:
```
Li6V3P8O29
1.0
-1.414 -8.719 -4.315
9.098 3.677 0.770
1.520 -6.375 12.386
O P Li V
58 16 12 6
direct
0.214 0.218 0.076
0.739 0.080 0.837
0.997 0.766 0.070
0.083 0.344 0.167
0.205 0.214 0.256
0.907 0.523 0.321
0.757 0.996 0.430
0.005 0.757 0.431
0.518 0.891 0.170
0.665 0.340 0.022
0.186 0.515 0.335
0.326 0.519 0.830
0.216 0.011 0.743
0.920 0.667 0.845
0.106 0.624 0.170
0.333 0.082 0.340
0.994 0.206 0.925
0.484 0.814 0.836
0.915 0.249 0.341
0.100 0.479 0.677
0.790 0.786 0.750
0.665 0.743 0.160
0.809 0.331 0.171
0.680 0.345 0.524
0.763 0.767 0.931
0.182 0.671 0.834
0.673 0.185 0.668
0.382 0.904 0.679
0.516 0.185 0.169
0.476 0.101 0.832
0.085 0.749 0.659
0.329 0.671 0.980
0.000 0.245 0.566
0.765 0.991 0.067
0.374 0.476 0.169
0.663 0.912 0.659
0.989 0.204 0.744
0.899 0.372 0.834
0.522 0.615 0.680
0.664 0.484 0.168
0.249 0.332 0.661
0.617 0.096 0.324
0.515 0.328 0.668
0.787 0.997 0.249
0.756 0.752 0.570
0.479 0.377 0.325
0.627 0.516 0.830
0.817 0.483 0.677
0.341 0.258 0.837
0.210 0.997 0.922
0.249 0.000 0.565
0.347 0.678 0.476
0.001 0.789 0.250
0.254 0.916 0.158
0.749 0.662 0.342
0.244 0.243 0.434
0.332 0.815 0.326
0.485 0.667 0.327
0.684 0.909 0.156
0.679 0.764 0.660
0.668 0.334 0.630
0.766 0.085 0.340
0.771 0.681 0.844
0.914 0.681 0.341
0.090 0.772 0.157
0.086 0.319 0.657
0.912 0.221 0.842
0.223 0.312 0.160
0.333 0.666 0.873
0.312 0.088 0.840
0.232 0.913 0.656
0.319 0.230 0.343
0.335 0.669 0.370
0.666 0.333 0.128
0.321 0.228 0.561
0.230 0.908 0.436
0.096 0.775 0.943
0.326 0.661 0.113
0.678 0.911 0.940
0.682 0.771 0.439
0.094 0.322 0.437
0.774 0.092 0.558
0.662 0.328 0.890
0.770 0.679 0.062
0.911 0.682 0.558
0.052 0.078 0.999
0.566 0.998 0.749
0.427 0.430 0.753
0.435 0.004 0.244
0.002 0.564 0.753
0.562 0.561 0.250
0.997 0.428 0.249
```

Results
Energy above the lowest structure with this stoichiometry: 1.5 meV per atom
SG: P1
ΔE_f: -2.661 eV/atom
Crystal system: triclinic
Energy with MP2020 corrections: -695.828 eV for the cell shown
E: -7.019 eV per atom

---

2.
Density functional theory data (GGA+U) for a relaxed Li3Mn2Si2O8 crystal.

The structure in POSCAR format:
```
Li3Mn2Si2O8
1.0
-7.913 7.209 1.228
-0.880 -0.113 -5.005
-4.182 -4.728 0.806
Li O Si Mn
6 16 4 4
direct
0.089 0.934 0.750
0.913 0.572 0.753
0.413 0.428 0.247
0.582 0.082 0.750
0.589 0.066 0.250
0.082 0.918 0.250
0.687 0.970 0.500
0.100 0.528 0.216
0.600 0.472 0.784
0.665 0.906 0.001
0.187 0.030 0.500
0.409 0.996 0.705
0.324 0.594 0.476
0.597 0.468 0.214
0.909 0.004 0.295
0.406 0.031 0.281
0.097 0.532 0.786
0.906 0.969 0.719
0.824 0.406 0.524
0.165 0.094 0.999
0.813 0.474 0.995
0.313 0.526 0.005
0.333 0.919 0.493
0.833 0.081 0.507
0.669 0.581 0.999
0.169 0.419 0.001
0.843 0.081 0.011
0.660 0.565 0.504
0.343 0.919 0.989
0.160 0.435 0.496
```

Results
Energy above the lowest structure with this stoichiometry: 14.8 meV per atom
SG: P2_1
ΔE_f: -2.587 eV/atom
Crystal system: monoclinic
Energy with MP2020 corrections: -226.568 eV for the cell shown
E: -6.963 eV per atom

---

3.
Density functional theory data (GGA+U) for a relaxed CrCo5O12 crystal.

The structure in POSCAR format:
```
CrCo5O12
1.0
4.265 2.460 0.000
-4.265 2.460 0.000
0.000 0.015 9.796
O Co Cr
12 5 1
direct
0.340 0.000 0.902
0.500 0.833 0.597
0.500 0.167 0.403
0.000 0.340 0.902
0.660 0.000 0.098
0.833 0.500 0.597
0.340 0.340 0.098
0.660 0.660 0.902
0.166 0.166 0.597
0.834 0.834 0.403
0.000 0.660 0.098
0.167 0.500 0.403
0.167 0.833 0.500
0.500 0.500 0.500
0.833 0.167 0.500
0.667 0.333 0.000
0.333 0.667 0.000
0.000 0.000 0.000
```

Results
SG: C2/m
ΔE_f: -1.137 eV/atom
Crystal system: monoclinic
Energy with MP2020 corrections: -125.036 eV for the cell shown
E: -5.922 eV per atom

---

4.
Density functional theory data (GGA+U) for a relaxed Li4Mn3Cr3Co2O16 crystal.

The structure in POSCAR format:
```
Li4Mn3Cr3Co2O16
1.0
-1.233 -5.590 -1.199
1.099 -4.149 3.973
-8.851 1.069 3.694
O Cr Co Mn Li
16 3 2 3 4
direct
0.154 0.682 0.394
0.967 0.518 0.173
0.519 0.519 0.168
0.660 0.660 0.392
0.682 0.154 0.394
0.839 0.839 0.891
0.328 0.328 0.894
0.485 0.038 0.670
0.004 0.004 0.188
0.038 0.485 0.670
0.518 0.967 0.173
0.314 0.839 0.895
0.485 0.485 0.675
0.157 0.157 0.395
0.006 0.006 0.687
0.839 0.314 0.895
0.171 0.664 0.786
0.830 0.830 0.286
0.664 0.171 0.786
0.332 0.332 0.506
0.666 0.666 0.007
0.170 0.170 0.785
0.336 0.831 0.286
0.831 0.336 0.286
0.997 0.997 0.503
0.996 0.996 0.003
0.332 0.332 0.104
0.668 0.668 0.604
```

Results
SG: Cm
ΔE_f: -1.972 eV/atom
Crystal system: monoclinic
Energy with MP2020 corrections: -212.671 eV for the cell shown
E: -6.693 eV per atom

---

5.
Density functional theory data (GGA+U) for a relaxed MgNiO2 crystal.

The structure in POSCAR format:
```
MgNiO2
1.0
-1.903 -0.607 -2.084
-2.024 -7.599 2.112
-7.152 1.965 3.971
O Ni Mg
8 4 4
direct
0.336 0.106 0.711
0.319 0.595 0.266
0.133 0.178 0.054
0.411 0.281 0.389
0.681 0.405 0.734
0.867 0.822 0.946
0.664 0.894 0.289
0.589 0.719 0.611
0.288 0.810 0.117
0.712 0.190 0.883
0.871 0.446 0.308
0.129 0.554 0.692
0.579 0.131 0.209
0.155 0.772 0.428
0.845 0.228 0.572
0.421 0.869 0.791
```

Results
SG: P-1
ΔE_f: -1.843 eV/atom
Crystal system: triclinic
Energy with MP2020 corrections: -98.592 eV for the cell shown
E: -5.183 eV per atom

---

6.
Density functional theory data (GGA+U) for a relaxed Fe3TeO8 crystal.

The structure in POSCAR format:
```
Fe3TeO8
1.0
2.970 -5.145 0.000
2.970 5.145 0.000
0.000 0.000 9.282
O Fe Te
16 6 2
direct
0.346 0.173 0.097
0.520 0.040 0.848
0.667 0.333 0.615
0.520 0.480 0.848
0.480 0.520 0.348
0.000 0.000 0.296
0.827 0.173 0.097
0.173 0.827 0.597
0.960 0.480 0.848
0.040 0.520 0.348
0.000 0.000 0.796
0.333 0.667 0.115
0.480 0.960 0.348
0.827 0.654 0.097
0.173 0.346 0.597
0.654 0.827 0.597
0.832 0.664 0.708
0.832 0.168 0.708
0.168 0.336 0.208
0.336 0.168 0.708
0.168 0.832 0.208
0.664 0.832 0.208
0.667 0.333 0.987
0.333 0.667 0.487
```

Results
SG: P6_3mc
ΔE_f: -1.444 eV/atom
Crystal system: hexagonal
Energy with MP2020 corrections: -170.935 eV for the cell shown
E: -6.100 eV per atom

---

7.
Density functional theory data (GGA+U) for a relaxed Zr2Cr2F3 crystal.

The structure in POSCAR format:
```
Zr2Cr2F3
1.0
4.806 -0.341 3.053
3.121 6.041 4.552
2.055 -0.450 9.236
F Zr Cr
6 4 4
direct
0.234 0.379 0.627
0.778 0.658 0.842
0.485 0.659 0.530
0.497 0.098 0.402
0.246 0.873 0.121
0.864 0.970 0.841
0.579 0.851 0.649
0.415 0.158 0.830
0.390 0.670 0.342
0.564 0.389 0.111
0.932 0.930 0.043
0.015 0.150 0.350
0.878 0.457 0.570
0.122 0.514 0.986
```

Results
Energy above the lowest structure with this stoichiometry: 136.1 meV per atom
SG: Cm
ΔE_f: -1.306 eV/atom
Crystal system: monoclinic
Energy with MP2020 corrections: -102.581 eV for the cell shown
E: -6.558 eV per atom

---

8.
Density functional theory data (GGA+U) for a relaxed BaYMgCrCuO5 crystal.

The structure in POSCAR format:
```
BaYMgCrCuO5
1.0
-2.957 2.311 1.251
-1.815 -3.200 1.624
6.627 0.183 7.741
O Cu Cr Ba Mg Y
5 1 1 1 1 1
direct
0.711 0.499 0.911
0.047 0.500 0.647
0.944 0.500 0.353
0.507 0.000 0.575
0.424 0.000 0.266
0.408 0.500 0.299
0.531 0.501 0.620
0.822 0.000 0.102
0.169 0.499 0.843
0.936 0.000 0.464
```

Results
Energy above the lowest structure with this stoichiometry: 0.0 meV per atom
SG: P1
ΔE_f: -2.352 eV/atom
Crystal system: triclinic
Energy with MP2020 corrections: -71.994 eV for the cell shown
E: -6.656 eV per atom